[1]
## Ti2P3H7NO13 (PBE)

Data for an optimized crystal structure of Ti2P3H7NO13.

Cell lengths 10.0291, 10.0291, 10.0291 Å; angles 90.00, 90.00, 90.00 degrees
Space group P2_13 (No. 198)
Inequivalent atoms, fractional coordinates:
1 Ti 0.0894 0.0894 0.0894 [4 per cell]
2 Ti 0.1418 0.6418 0.8582 [4 per cell]
3 P 0.0404 0.2713 0.3765 [12 per cell]
4 H 0.0169 0.9831 0.4831 [4 per cell]
5 H 0.0416 0.9258 0.3263 [12 per cell]
6 H 0.0937 0.3022 0.7195 [12 per cell]
7 N 0.0759 0.9241 0.4241 [4 per cell]
8 O 0.0031 0.9170 0.1486 [12 per cell]
9 O 0.0188 0.0488 0.7037 [12 per cell]
10 O 0.0286 0.1909 0.2463 [12 per cell]
11 O 0.0706 0.8126 0.7681 [12 per cell]
12 O 0.1924 0.3076 0.6924 [4 per cell]

=====

[2]
## ZnP3H12NO13 (PBE)

Data for an optimized crystal structure of ZnP3H12NO13.

Cell lengths 7.4684, 8.8027, 10.3791 Å; angles 71.39, 75.54, 69.20 degrees
Space group P-1 (No. 2)
Inequivalent atoms, fractional coordinates:
1 Zn 0.0000 0.0000 0.0000 [1 per cell]
2 Zn 0.5000 0.5000 0.5000 [1 per cell]
3 P 0.0747 0.5264 0.7572 [2 per cell]
4 P 0.1265 0.1214 0.2250 [2 per cell]
5 P 0.2999 0.2246 0.9321 [2 per cell]
6 H 0.0297 0.7517 0.3909 [2 per cell]
7 H 0.1612 0.3252 0.5720 [2 per cell]
8 H 0.1665 0.1765 0.4951 [2 per cell]
9 H 0.1785 0.1269 0.6645 [2 per cell]
10 H 0.1839 0.6691 0.0649 [2 per cell]
11 H 0.2866 0.5237 0.3034 [2 per cell]
12 H 0.3188 0.8367 0.7996 [2 per cell]
13 H 0.3308 0.7716 0.0433 [2 per cell]
14 H 0.3641 0.8424 0.4353 [2 per cell]
15 H 0.4050 0.6582 0.2541 [2 per cell]
16 H 0.4271 0.7794 0.5829 [2 per cell]
17 H 0.4797 0.1369 0.2751 [2 per cell]
18 N 0.1190 0.2205 0.5835 [2 per cell]
19 O 0.0510 0.0039 0.1914 [2 per cell]
20 O 0.0562 0.7114 0.7664 [2 per cell]
21 O 0.1210 0.4960 0.2239 [2 per cell]
22 O 0.1743 0.4214 0.8945 [2 per cell]
23 O 0.2064 0.1235 0.8922 [2 per cell]
24 O 0.2162 0.4902 0.6302 [2 per cell]
25 O 0.2226 0.0636 0.3509 [2 per cell]
26 O 0.2258 0.7659 0.0025 [2 per cell]
27 O 0.2781 0.1890 0.0967 [2 per cell]
28 O 0.3439 0.5869 0.3370 [2 per cell]
29 O 0.3954 0.8649 0.7088 [2 per cell]
30 O 0.4538 0.7490 0.4930 [2 per cell]
31 O 0.4901 0.7905 0.1225 [2 per cell]

=====

[3]
## Zn5P6H14N2O22 (PBE)

Data for an optimized crystal structure of Zn5P6H14N2O22.

Cell lengths 7.5205, 9.8348, 10.5133 Å; angles 63.19, 88.59, 75.28 degrees
Space group P-1 (No. 2)
Inequivalent atoms, fractional coordinates:
1 Zn 0.0000 0.0000 0.0000 [1 per cell]
2 Zn 0.1290 0.6432 0.5192 [2 per cell]
3 Zn 0.1585 0.3003 0.1618 [2 per cell]
4 P 0.2442 0.9395 0.3016 [2 per cell]
5 P 0.2517 0.5023 0.8477 [2 per cell]
6 P 0.2559 0.4063 0.3847 [2 per cell]
7 H 0.2083 0.9431 0.7382 [2 per cell]
8 H 0.2372 0.0880 0.5815 [2 per cell]
9 H 0.2592 0.9042 0.5980 [2 per cell]
10 H 0.3879 0.8441 0.2646 [2 per cell]
11 H 0.4238 0.5136 0.8837 [2 per cell]
12 H 0.4239 0.9365 0.6824 [2 per cell]
13 H 0.4359 0.3354 0.4570 [2 per cell]
14 N 0.2837 0.9658 0.6511 [2 per cell]
15 O 0.0697 0.9976 0.1972 [2 per cell]
16 O 0.1090 0.6559 0.8310 [2 per cell]
17 O 0.1415 0.2918 0.4786 [2 per cell]
18 O 0.1855 0.5711 0.3751 [2 per cell]
19 O 0.1973 0.0786 0.8891 [2 per cell]
20 O 0.2134 0.8254 0.0167 [2 per cell]
21 O 0.2134 0.8380 0.4591 [2 per cell]
22 O 0.2155 0.3515 0.9670 [2 per cell]
23 O 0.2637 0.4931 0.7055 [2 per cell]
24 O 0.2694 0.4144 0.2362 [2 per cell]
25 O 0.3129 0.0802 0.2885 [2 per cell]

=====

[4]
## Zn4P3H7N2O12 (PBE)

Data for an optimized crystal structure of Zn4P3H7N2O12.

Cell lengths 5.3127, 8.1962, 16.1474 Å; angles 94.45, 92.22, 108.47 degrees
Space group P-1 (No. 2)
Inequivalent atoms, fractional coordinates:
1 Zn 0.0792 0.4234 0.1136 [2 per cell]
2 Zn 0.1897 0.9980 0.8933 [2 per cell]
3 Zn 0.2134 0.8349 0.5438 [2 per cell]
4 Zn 0.3865 0.3670 0.3705 [2 per cell]
5 P 0.1754 0.7538 0.7273 [2 per cell]
6 P 0.2063 0.7975 0.0528 [2 per cell]
7 P 0.3635 0.2411 0.5585 [2 per cell]
8 H 0.0312 0.8497 0.3239 [2 per cell]
9 H 0.1183 0.7067 0.2620 [2 per cell]
10 H 0.1565 0.9066 0.2314 [2 per cell]
11 H 0.3520 0.8813 0.3131 [2 per cell]
12 H 0.4176 0.4781 0.9009 [2 per cell]
13 H 0.4485 0.3156 0.0628 [2 per cell]
14 H 0.4993 0.6303 0.8353 [2 per cell]
15 N 0.1645 0.8365 0.2813 [2 per cell]
16 N 0.4444 0.4069 0.1095 [2 per cell]
17 O 0.0109 0.7347 0.6406 [2 per cell]
18 O 0.0155 0.6301 0.0815 [2 per cell]
19 O 0.0328 0.5930 0.7722 [2 per cell]
20 O 0.0636 0.2152 0.5456 [2 per cell]
21 O 0.1511 0.7905 0.9551 [2 per cell]
22 O 0.1520 0.9561 0.0963 [2 per cell]
23 O 0.1820 0.9259 0.7749 [2 per cell]
24 O 0.4139 0.0750 0.5847 [2 per cell]
25 O 0.4620 0.7600 0.7101 [2 per cell]
26 O 0.4930 0.7168 0.5254 [2 per cell]
27 O 0.4936 0.3854 0.6283 [2 per cell]
28 O 0.5002 0.1932 0.9318 [2 per cell]

=====

Calculated values (eV/atom) of formation energy from the elements for the records, taken in order: -2.205 -1.689 -1.350 -1.793.